(1)
DFT (GGA-PBE) results for a relaxed Zr2H16SN3O6F9 crystal.

The structure in extended XYZ format:
```
74
Lattice="-6.183 3.436 3.821 0.543 -3.566 7.185 3.986 7.925 8.525" Properties=species:S:1:pos:R:3 pbc="T T T"
O -2.911 0.927 7.750
O 1.257 6.868 11.781
O -2.204 1.322 3.427
O -4.194 3.347 7.479
O 0.549 6.473 16.104
O -0.605 -0.342 4.227
O -4.635 -0.041 9.180
O -0.820 -0.165 9.166
O -1.049 8.137 15.304
O 2.981 7.836 10.350
O -0.834 7.960 10.365
O 2.539 4.448 12.052
N -0.648 -2.326 6.589
N -0.610 2.212 5.824
N -2.364 2.736 10.420
N -1.044 5.583 13.707
N 0.710 5.059 9.111
N -4.992 2.196 4.417
F -2.664 5.438 16.644
F 1.010 2.357 2.887
F 1.470 3.453 14.306
F -1.098 5.681 6.173
F 2.290 2.249 10.478
F 1.184 4.228 6.435
F -2.838 3.567 13.096
F -0.080 2.237 8.787
F 1.186 -0.146 7.381
F -2.841 7.941 12.150
F 0.503 0.916 11.277
F -3.124 4.342 5.225
F -3.944 5.546 9.053
F -1.782 4.009 7.935
F 0.128 3.786 11.595
F -2.157 6.879 8.254
F 2.265 2.179 7.855
F -1.574 5.558 10.744
H -5.175 3.202 7.648
H 2.411 5.383 14.732
H -0.487 -1.313 6.589
H -0.747 2.975 5.141
H -0.907 4.820 14.390
H -3.697 2.489 7.580
H -1.812 3.482 10.870
H -0.610 -2.694 7.569
H -0.492 8.771 9.876
H 3.521 4.594 11.883
H 0.351 5.175 10.070
H 0.344 1.839 5.686
H -3.361 3.010 10.426
H -0.694 2.591 6.780
H -0.096 7.533 10.880
H -0.357 6.324 13.875
H 2.043 5.306 11.950
H 1.707 4.785 9.105
H -5.735 2.641 5.006
H 4.081 5.154 14.525
H -4.065 2.413 4.799
H -1.998 5.956 13.845
H -1.044 10.489 11.962
H -1.558 0.262 8.651
H 0.611 5.926 8.557
H 0.158 4.313 8.661
H -1.168 9.109 12.942
H -2.265 1.869 10.974
H -2.005 2.620 9.461
H -0.960 5.204 12.751
H -1.298 1.471 5.656
H -1.163 -0.976 9.655
Zr -2.896 7.015 10.339
Zr -3.066 5.265 7.037
Zr 1.242 0.780 9.192
Zr 1.412 2.530 12.494
S -1.620 -0.025 3.186
S -0.034 7.821 16.345
```

Calculated values
Symmetry: C2/m, No. 12

(2)
DFT (GGA-PBE) results for a relaxed ZrH6NOF5 crystal.

The structure in extended XYZ format:
```
56
Lattice="7.608 0.000 0.000 0.000 6.872 0.000 0.000 4.589 10.500" Properties=species:S:1:pos:R:3 pbc="T T T"
F 5.346 3.950 4.193
F 7.067 7.237 1.015
F 3.057 6.040 4.329
F 5.197 5.413 1.168
F 6.067 6.244 9.443
F 3.263 1.929 4.235
F 5.388 7.312 4.029
F 4.345 9.532 6.265
F 0.747 8.335 9.579
F 0.541 4.223 9.485
F 1.542 5.217 1.057
F 1.393 3.753 4.082
F 4.552 5.421 6.171
F 6.024 9.607 9.279
F 2.263 7.511 6.307
F 6.215 7.707 6.418
F 1.584 1.854 1.222
F 2.411 6.048 9.332
F 2.220 4.148 6.472
F 6.861 3.126 0.921
Zr 3.362 4.009 4.791
Zr 0.442 6.303 10.041
Zr 4.246 7.452 5.709
Zr 7.166 5.157 0.459
O 3.447 4.022 2.464
O 0.357 6.317 7.714
O 7.251 5.144 2.786
O 4.161 7.438 8.036
N 0.493 7.845 3.794
N 3.311 10.140 9.044
N 7.115 3.615 6.706
N 4.297 1.321 1.456
H 3.303 9.379 8.350
H 4.157 4.574 2.025
H 7.121 7.883 4.138
H 6.407 4.865 3.230
H 6.833 9.607 7.156
H 4.305 2.082 2.151
H 7.255 6.868 7.276
H 0.775 1.853 3.344
H 1.201 6.596 7.270
H 4.579 7.313 1.906
H 3.029 4.148 8.594
H 1.156 7.651 4.562
H 2.648 9.945 9.812
H 3.317 1.283 1.113
H 4.960 1.516 0.688
H 4.291 10.178 9.388
H 5.005 7.159 8.480
H 0.501 7.084 3.099
H 7.107 4.377 7.401
H 2.603 4.301 2.020
H 3.451 6.887 8.475
H 0.353 4.593 3.225
H 6.452 3.810 5.939
H 0.487 3.578 6.363
```

Calculated values
Symmetry: P2_1/c, No. 14

(3)
DFT (GGA-PBE) results for a relaxed PaH8N2F7 crystal.

The structure in extended XYZ format:
```
72
Lattice="-2.134 7.938 0.606 -3.122 -0.362 -6.246 -10.353 -3.318 5.368" Properties=species:S:1:pos:R:3 pbc="T T T"
N -3.803 6.862 1.435
N -11.805 -2.604 -1.707
N -9.356 1.082 0.950
N -12.791 1.359 -1.262
N -6.253 3.176 -1.223
N -2.818 2.899 0.990
N -5.122 -0.770 -1.377
N -10.487 5.028 1.104
F -2.565 -0.240 -3.885
F -2.206 5.374 -0.548
F -7.317 6.221 2.029
F -4.752 5.896 -1.271
F -10.857 -1.638 0.999
F -7.875 3.658 1.150
F -11.041 -0.737 3.541
F -13.044 4.498 3.613
F -7.426 1.969 3.062
F -5.814 0.928 0.959
F -5.382 4.507 1.170
F -12.226 0.762 1.618
F -13.403 -1.116 0.276
F -8.854 4.362 3.563
F -9.795 3.331 -1.231
F -2.680 0.941 -1.094
F -12.929 3.318 0.822
F -3.382 3.496 -1.890
F -10.227 -0.249 -1.442
F -7.734 0.600 -1.422
F -7.520 -0.679 2.263
F -8.089 4.937 -2.535
F -4.567 4.995 -3.813
F -8.291 -1.962 -2.301
F -6.755 -0.104 -3.835
F -8.183 2.290 -3.334
F -11.115 2.784 2.740
F -4.493 1.475 -3.012
H -10.565 4.171 1.689
H -2.447 3.809 0.672
H -3.782 3.024 1.342
H -5.387 3.040 -1.770
H -10.321 5.253 4.355
H -8.684 0.504 1.490
H -13.857 4.715 -0.277
H -10.222 1.218 1.498
H -5.941 6.322 -4.564
H -8.922 2.000 0.760
H -10.083 4.783 0.189
H -11.332 -1.701 -1.501
H -2.818 2.243 0.186
H -9.668 -2.064 4.292
H -6.017 3.662 -0.338
H -5.288 -0.995 -4.627
H -13.161 0.449 -0.944
H -1.752 -0.457 0.005
H -5.353 2.147 -4.495
H -10.255 2.112 4.223
H -5.526 -0.525 -0.461
H -5.044 0.087 -1.961
H -9.592 0.597 0.066
H -12.791 2.015 -0.458
H -6.307 6.777 -0.655
H -11.827 1.235 -1.614
H -6.925 3.754 -1.762
H -7.774 -2.214 0.998
H -6.687 2.258 -1.032
H -4.277 5.959 1.229
H -9.302 -2.519 0.383
H -7.835 6.472 -1.270
Pa -6.787 4.271 2.935
Pa -8.822 -0.013 -3.207
Pa -13.357 2.450 2.831
Pa -2.252 1.808 -3.103
```

Calculated values
Symmetry: P2_1/c, No. 14

DFT formation energy, respectively: -69.497; -30.122; -37.327 eV per formula unit.
Mass density, respectively: 2.6; 2.7; 3.8 g cm⁻³.